[1]
# r2SCAN Zr4CdP6O24, relaxed
# DFT formation energy = -2.915 eV/atom
# Size of the total moment = 0.00 μB/cell
data_Zr4CdP6O24
_chemical_formula_sum 'Zr4 Cd1 P6 O24'
_cell_length_a 9.004
_cell_length_b 9.004
_cell_length_c 9.004
_cell_angle_alpha 59.16
_cell_angle_beta 59.16
_cell_angle_gamma 59.16
_symmetry_space_group_name_H-M 'P 1'
_symmetry_Int_Tables_number 1
_symmetry_space_group_name_Hall 'P 1'
loop_
_atom_site_label
_atom_site_type_symbol
_atom_site_fract_x
_atom_site_fract_y
_atom_site_fract_z
O1 O 0.938 0.707 0.095
O2 O 0.232 0.446 0.580
O3 O 0.631 0.785 0.010
O4 O 0.905 0.062 0.293
O5 O 0.369 0.215 0.990
O6 O 0.490 0.315 0.107
O7 O 0.580 0.232 0.446
O8 O 0.095 0.938 0.707
O9 O 0.446 0.580 0.232
O10 O 0.785 0.010 0.631
O11 O 0.707 0.095 0.938
O12 O 0.893 0.510 0.685
O13 O 0.420 0.768 0.554
O14 O 0.215 0.990 0.369
O15 O 0.768 0.554 0.420
O16 O 0.062 0.293 0.905
O17 O 0.510 0.685 0.893
O18 O 0.010 0.631 0.785
O19 O 0.554 0.420 0.768
O20 O 0.293 0.905 0.062
O21 O 0.990 0.369 0.215
O22 O 0.107 0.490 0.315
O23 O 0.315 0.107 0.490
O24 O 0.685 0.893 0.510
Zr1 Zr 0.864 0.864 0.864
Zr2 Zr 0.136 0.136 0.136
Zr3 Zr 0.352 0.352 0.352
Zr4 Zr 0.648 0.648 0.648
P1 P 0.743 0.047 0.471
P2 P 0.529 0.257 0.953
P3 P 0.047 0.471 0.743
P4 P 0.471 0.743 0.047
P5 P 0.257 0.953 0.529
P6 P 0.953 0.529 0.257
Cd1 Cd 0.500 0.500 0.500

[2]
# r2SCAN CaNdAu2, relaxed
# DFT formation energy = -0.870 eV/atom
# Size of the total moment = 0.00 μB/cell
data_CaNdAu2
_chemical_formula_sum 'Ca1 Nd1 Au2'
_cell_length_a 5.164
_cell_length_b 5.164
_cell_length_c 5.164
_cell_angle_alpha 60.00
_cell_angle_beta 60.00
_cell_angle_gamma 60.00
_symmetry_space_group_name_H-M 'P 1'
_symmetry_Int_Tables_number 1
_symmetry_space_group_name_Hall 'P 1'
loop_
_atom_site_label
_atom_site_type_symbol
_atom_site_fract_x
_atom_site_fract_y
_atom_site_fract_z
Ca1 Ca 0.500 0.500 0.500
Au1 Au 0.250 0.250 0.250
Au2 Au 0.750 0.750 0.750
Nd1 Nd 0.000 0.000 0.000

[3]
# r2SCAN LiCd2Cu, relaxed
# DFT formation energy = -0.143 eV/atom
# Size of the total moment = 0.00 μB/cell
data_LiCd2Cu
_chemical_formula_sum 'Li1 Cd2 Cu1'
_cell_length_a 4.516
_cell_length_b 4.516
_cell_length_c 4.516
_cell_angle_alpha 60.00
_cell_angle_beta 60.00
_cell_angle_gamma 60.00
_symmetry_space_group_name_H-M 'P 1'
_symmetry_Int_Tables_number 1
_symmetry_space_group_name_Hall 'P 1'
loop_
_atom_site_label
_atom_site_type_symbol
_atom_site_fract_x
_atom_site_fract_y
_atom_site_fract_z
Cd1 Cd 0.250 0.250 0.250
Cd2 Cd 0.750 0.750 0.750
Cu1 Cu 0.500 0.500 0.500
Li1 Li 0.000 0.000 0.000

[4]
# r2SCAN Ho6Se11, relaxed
# DFT formation energy = -1.909 eV/atom
# Size of the total moment = 0.00 μB/cell
data_Ho6Se11
_chemical_formula_sum 'Ho24 Se44'
_cell_length_a 11.491
_cell_length_b 11.536
_cell_length_c 11.985
_cell_angle_alpha 89.95
_cell_angle_beta 89.70
_cell_angle_gamma 88.37
_symmetry_space_group_name_H-M 'P 1'
_symmetry_Int_Tables_number 1
_symmetry_space_group_name_Hall 'P 1'
loop_
_atom_site_label
_atom_site_type_symbol
_atom_site_fract_x
_atom_site_fract_y
_atom_site_fract_z
Se1 Se 0.816 0.561 0.832
Se2 Se 0.319 0.318 0.335
Se3 Se 0.824 0.824 0.331
Se4 Se 0.076 0.571 0.668
Se5 Se 0.070 0.569 0.000
Se6 Se 0.121 0.887 0.302
Se7 Se 0.371 0.640 0.994
Se8 Se 0.237 0.774 0.160
Se9 Se 0.246 0.768 0.837
Se10 Se 0.060 0.312 0.500
Se11 Se 0.570 0.070 0.001
Se12 Se 0.309 0.053 0.498
Se13 Se 0.528 0.486 0.789
Se14 Se 0.619 0.392 0.377
Se15 Se 0.762 0.251 0.829
Se16 Se 0.071 0.314 0.833
Se17 Se 0.569 0.066 0.332
Se18 Se 0.811 0.557 0.169
Se19 Se 0.065 0.920 0.000
Se20 Se 0.636 0.373 0.996
Se21 Se 0.067 0.315 0.167
Se22 Se 0.572 0.819 0.501
Se23 Se 0.315 0.070 0.166
Se24 Se 0.830 0.831 0.671
Se25 Se 0.914 0.071 0.999
Se26 Se 0.004 0.007 0.495
Se27 Se 0.880 0.132 0.688
Se28 Se 0.567 0.068 0.669
Se29 Se 0.330 0.331 0.001
Se30 Se 0.561 0.814 0.834
Se31 Se 0.817 0.570 0.506
Se32 Se 0.271 0.738 0.501
Se33 Se 0.412 0.597 0.650
Se34 Se 0.559 0.811 0.167
Se35 Se 0.804 0.804 0.000
Se36 Se 0.725 0.282 0.524
Se37 Se 0.768 0.243 0.165
Se38 Se 0.881 0.128 0.309
Se39 Se 0.506 0.503 0.191
Se40 Se 0.312 0.066 0.835
Se41 Se 0.324 0.314 0.662
Se42 Se 0.068 0.569 0.334
Se43 Se 0.127 0.885 0.693
Se44 Se 0.392 0.617 0.349
Ho1 Ho 0.740 0.987 0.163
Ho2 Ho 0.139 0.141 0.333
Ho3 Ho 0.751 0.009 0.499
Ho4 Ho 0.156 0.158 0.001
Ho5 Ho 0.896 0.392 0.669
Ho6 Ho 0.256 0.501 0.829
Ho7 Ho 0.881 0.386 0.338
Ho8 Ho 0.503 0.249 0.172
Ho9 Ho 0.483 0.224 0.496
Ho10 Ho 0.740 0.992 0.837
Ho11 Ho 0.648 0.646 0.336
Ho12 Ho 0.892 0.388 0.001
Ho13 Ho 0.388 0.894 0.001
Ho14 Ho 0.241 0.487 0.500
Ho15 Ho 0.992 0.740 0.838
Ho16 Ho 0.496 0.241 0.835
Ho17 Ho 0.385 0.881 0.331
Ho18 Ho 0.626 0.628 0.999
Ho19 Ho 0.010 0.753 0.499
Ho20 Ho 0.986 0.737 0.162
Ho21 Ho 0.655 0.660 0.671
Ho22 Ho 0.388 0.881 0.667
Ho23 Ho 0.248 0.505 0.169
Ho24 Ho 0.140 0.138 0.663

[5]
# r2SCAN TbRh5, relaxed
# DFT formation energy = -0.333 eV/atom
# Size of the total moment = 0.00 μB/cell
data_TbRh5
_chemical_formula_sum 'Tb1 Rh5'
_cell_length_a 5.180
_cell_length_b 5.180
_cell_length_c 4.306
_cell_angle_alpha 90.00
_cell_angle_beta 90.00
_cell_angle_gamma 120.00
_symmetry_space_group_name_H-M 'P 1'
_symmetry_Int_Tables_number 1
_symmetry_space_group_name_Hall 'P 1'
loop_
_atom_site_label
_atom_site_type_symbol
_atom_site_fract_x
_atom_site_fract_y
_atom_site_fract_z
Tb1 Tb 0.000 0.000 0.000
Rh1 Rh 0.500 0.500 0.500
Rh2 Rh 0.500 0.000 0.500
Rh3 Rh 0.000 0.500 0.500
Rh4 Rh 0.333 0.667 0.000
Rh5 Rh 0.667 0.333 0.000

[6]
# r2SCAN CaTe, relaxed
# DFT formation energy = -1.877 eV/atom
# Size of the total moment = 0.00 μB/cell
data_CaTe
_chemical_formula_sum 'Ca4 Te4'
_cell_length_a 4.461
_cell_length_b 7.654
_cell_length_c 7.722
_cell_angle_alpha 90.00
_cell_angle_beta 90.00
_cell_angle_gamma 90.00
_symmetry_space_group_name_H-M 'P 1'
_symmetry_Int_Tables_number 1
_symmetry_space_group_name_Hall 'P 1'
loop_
_atom_site_label
_atom_site_type_symbol
_atom_site_fract_x
_atom_site_fract_y
_atom_site_fract_z
Te1 Te 0.250 0.750 0.083
Te2 Te 0.750 0.750 0.583
Te3 Te 0.250 0.250 0.417
Te4 Te 0.750 0.250 0.917
Ca1 Ca 0.750 0.500 0.250
Ca2 Ca 0.750 0.000 0.250
Ca3 Ca 0.250 0.000 0.750
Ca4 Ca 0.250 0.500 0.750